Record 1
The following is a DFT calculation (PBE with a Hubbard U) of NaNi4P3O12 after structural relaxation.

CIF file:
```
data_NaNi4P3O12
_space_group_name_H-M_alt 'C m c 21'
_space_group_IT_number 36
_cell_length_a 6.413
_cell_length_b 14.961
_cell_length_c 9.956
_cell_angle_alpha 90.00
_cell_angle_beta 90.00
_cell_angle_gamma 90.00
loop_
_space_group_symop_operation_xyz
'x,y,z'
'-x,-y,z+1/2'
'-x,y,z'
'x,-y,z+1/2'
'x+1/2,y+1/2,z'
'-x+1/2,-y+1/2,z+1/2'
'-x+1/2,y+1/2,z'
'x+1/2,-y+1/2,z+1/2'
loop_
_atom_site_label
_atom_site_fract_x
_atom_site_fract_y
_atom_site_fract_z
_atom_site_occupancy
Na1 0.000 0.027 0.000 1
Ni1 0.000 0.371 0.309 1
Ni2 0.000 0.374 0.689 1
Ni3 0.246 0.300 0.999 1
P1 0.000 0.186 0.215 1
P2 0.000 0.186 0.782 1
P3 0.000 0.477 0.953 1
O1 0.000 0.216 0.369 1
O2 0.000 0.216 0.628 1
O3 0.000 0.279 0.861 1
O4 0.000 0.280 0.137 1
O5 0.000 0.424 0.502 1
O6 0.000 0.488 0.797 1
O7 0.193 0.134 0.177 1
O8 0.193 0.134 0.820 1
O9 0.202 0.430 0.002 1
```

Output
E (MP2020) in eV per atom: -7.17
Raw total energy in eV per atom: -6.25



Record 2
The following is a DFT calculation (PBE with a Hubbard U) of NaNiP3O9 after structural relaxation.

CIF file:
```
data_NaNiP3O9
_space_group_name_H-M_alt 'P c c a'
_space_group_IT_number 54
_cell_length_a 13.972
_cell_length_b 10.714
_cell_length_c 10.012
_cell_angle_alpha 90.00
_cell_angle_beta 90.00
_cell_angle_gamma 90.00
loop_
_space_group_symop_operation_xyz
'x,y,z'
'-x,-y,-z'
'-x+1/2,-y,z'
'x+1/2,y,-z'
'x+1/2,-y,-z+1/2'
'-x+1/2,y,z+1/2'
'-x,y,-z+1/2'
'x,-y,z+1/2'
loop_
_atom_site_label
_atom_site_fract_x
_atom_site_fract_y
_atom_site_fract_z
_atom_site_occupancy
Na1 0.125 0.248 0.012 1
Ni1 0.000 0.000 0.000 1
Ni2 0.250 0.500 0.472 1
P1 0.102 0.475 0.715 1
P2 0.125 0.252 0.546 1
P3 0.148 0.044 0.736 1
O1 0.000 0.462 0.250 1
O2 0.052 0.177 0.472 1
O3 0.065 0.352 0.633 1
O4 0.090 0.082 0.856 1
O5 0.108 0.049 0.138 1
O6 0.150 0.432 0.840 1
O7 0.153 0.438 0.121 1
O8 0.180 0.170 0.657 1
O9 0.203 0.317 0.470 1
O10 0.250 0.000 0.293 1
```

Output
E (MP2020) in eV per atom: -7.32
Raw total energy in eV per atom: -6.70



Record 3
The following is a DFT calculation (PBE with a Hubbard U) of Na2Ni3P4O14 after structural relaxation.

CIF file:
```
data_Na2Ni3P4O14
_space_group_name_H-M_alt 'P 1 21/c 1'
_space_group_IT_number 14
_cell_length_a 7.409
_cell_length_b 8.228
_cell_length_c 9.501
_cell_angle_alpha 90.00
_cell_angle_beta 111.44
_cell_angle_gamma 90.00
loop_
_space_group_symop_operation_xyz
'x,y,z'
'-x,-y,-z'
'-x,y+1/2,-z+1/2'
'x,-y+1/2,z+1/2'
loop_
_atom_site_label
_atom_site_fract_x
_atom_site_fract_y
_atom_site_fract_z
_atom_site_occupancy
Na1 0.190 0.082 0.122 1
Ni1 0.321 0.118 0.486 1
Ni2 0.500 0.000 0.000 1
P1 0.101 0.040 0.709 1
P2 0.390 0.701 0.194 1
O1 0.111 0.507 0.814 1
O2 0.130 0.151 0.591 1
O3 0.183 0.638 0.187 1
O4 0.221 0.099 0.872 1
O5 0.361 0.636 0.616 1
O6 0.475 0.576 0.114 1
O7 0.488 0.203 0.134 1
```

Output
E (MP2020) in eV per atom: -7.16
Raw total energy in eV per atom: -6.41



Record 4
The following is a DFT calculation (PBE with a Hubbard U) of Na2NiP4O20 after structural relaxation.

CIF file:
```
data_Na2NiP4O20
_space_group_name_H-M_alt 'P 1 21/c 1'
_space_group_IT_number 14
_cell_length_a 7.602
_cell_length_b 10.798
_cell_length_c 11.731
_cell_angle_alpha 90.00
_cell_angle_beta 120.05
_cell_angle_gamma 90.00
loop_
_space_group_symop_operation_xyz
'x,y,z'
'-x,-y,-z'
'-x,y+1/2,-z+1/2'
'x,-y+1/2,z+1/2'
loop_
_atom_site_label
_atom_site_fract_x
_atom_site_fract_y
_atom_site_fract_z
_atom_site_occupancy
Na1 0.205 0.160 0.000 1
Ni1 0.500 0.000 0.500 1
P1 0.062 0.049 0.297 1
P2 0.286 0.735 0.100 1
O1 0.019 0.033 0.632 1
O2 0.081 0.186 0.335 1
O3 0.089 0.515 0.347 1
O4 0.118 0.674 0.535 1
O5 0.285 0.021 0.325 1
O6 0.341 0.661 0.013 1
O7 0.381 0.100 0.561 1
O8 0.401 0.718 0.245 1
O9 0.454 0.100 0.883 1
O10 0.481 0.010 0.829 1
```

Output
E (MP2020) in eV per atom: -5.86
Raw total energy in eV per atom: -5.65



Record 5
The following is a DFT calculation (PBE with a Hubbard U) of NaNi4P4O22 after structural relaxation.

CIF file:
```
data_NaNi4P4O22
_space_group_name_H-M_alt 'P 1 21 1'
_space_group_IT_number 4
_cell_length_a 8.543
_cell_length_b 12.360
_cell_length_c 8.611
_cell_angle_alpha 90.00
_cell_angle_beta 102.69
_cell_angle_gamma 90.00
loop_
_space_group_symop_operation_xyz
'x,y,z'
'-x,y+1/2,-z'
loop_
_atom_site_label
_atom_site_fract_x
_atom_site_fract_y
_atom_site_fract_z
_atom_site_occupancy
Na1 0.013 0.000 0.137 1
Ni1 0.474 0.936 0.288 1
Ni2 0.478 0.936 0.699 1
Ni3 0.490 0.190 0.204 1
Ni4 0.490 0.190 0.788 1
P1 0.280 0.035 0.951 1
P2 0.281 0.101 0.454 1
P3 0.282 0.761 0.452 1
P4 0.306 0.370 0.957 1
O1 0.102 0.729 0.895 1
O2 0.104 0.428 0.415 1
O3 0.108 0.064 0.391 1
O4 0.110 0.083 0.903 1
O5 0.119 0.819 0.420 1
O6 0.133 0.325 0.918 1
O7 0.238 0.640 0.441 1
O8 0.243 0.397 0.447 1
O9 0.249 0.738 0.940 1
O10 0.271 0.493 0.948 1
O11 0.291 0.973 0.108 1
O12 0.304 0.163 0.611 1
O13 0.306 0.959 0.818 1
O14 0.316 0.175 0.321 1
O15 0.382 0.791 0.325 1
O16 0.388 0.790 0.620 1
O17 0.395 0.561 0.234 1
O18 0.397 0.558 0.722 1
O19 0.401 0.337 0.126 1
O20 0.404 0.002 0.479 1
O21 0.408 0.337 0.835 1
O22 0.413 0.127 0.980 1
```

Output
E (MP2020) in eV per atom: -6.21
Raw total energy in eV per atom: -5.77



Record 6
The following is a DFT calculation (PBE with a Hubbard U) of Na4Ni7P6O24 after structural relaxation.

CIF file:
```
data_Na4Ni7P6O24
_space_group_name_H-M_alt 'C 1 m 1'
_space_group_IT_number 8
_cell_length_a 10.717
_cell_length_b 14.133
_cell_length_c 6.497
_cell_angle_alpha 90.00
_cell_angle_beta 104.82
_cell_angle_gamma 90.00
loop_
_space_group_symop_operation_xyz
'x,y,z'
'x,-y,z'
'x+1/2,y+1/2,z'
'x+1/2,-y+1/2,z'
loop_
_atom_site_label
_atom_site_fract_x
_atom_site_fract_y
_atom_site_fract_z
_atom_site_occupancy
Na1 0.000 0.000 0.000 1
Na2 0.152 0.500 0.941 1
Na3 0.335 0.125 0.002 1
Ni1 0.053 0.307 0.645 1
Ni2 0.224 0.126 0.465 1
Ni3 0.224 0.500 0.463 1
Ni4 0.394 0.313 0.281 1
P1 0.037 0.000 0.505 1
P2 0.130 0.308 0.180 1
P3 0.317 0.312 0.743 1
P4 0.414 0.000 0.428 1
O1 0.023 0.500 0.317 1
O2 0.034 0.293 0.320 1
O3 0.035 0.088 0.355 1
O4 0.053 0.330 0.953 1
O5 0.176 0.000 0.660 1
O6 0.216 0.394 0.673 1
O7 0.224 0.219 0.212 1
O8 0.227 0.220 0.714 1
O9 0.228 0.393 0.251 1
O10 0.279 0.000 0.260 1
O11 0.392 0.331 0.972 1
O12 0.412 0.297 0.602 1
O13 0.414 0.090 0.570 1
O14 0.427 0.500 0.613 1
```

Output
E (MP2020) in eV per atom: -7.04
Raw total energy in eV per atom: -6.21



| no. | spin magnetization (Bohr magnetons per cell) | ΔH_f (0 K) (meV per atom) |
| --- | --- | --- |
| 1 | 32.0 | -2167 |
| 2 | 16.0 | -2475 |
| 3 | 12.0 | -2341 |
| 4 | 19.4 | -1084 |
| 5 | 29.5 | -1210 |
| 6 | 28.0 | -2238 |